(1)
SiSnN2: relaxed, PBE.

Values from the calculation:
E (MP2020), eV per atom: -7.106
M_tot, μB per formula unit: 0.0
Crystal system: orthorhombic

abc: 5.0567 11.0999 15.1698
angles: 90.00 90.00 90.00
Atoms (fractional coordinates):
1 Si 0.7847 0.0119 0.6878
2 Si 0.3164 0.2507 0.9384
3 Si 0.1836 0.7492 0.4384
4 Si 0.6836 0.7492 0.0616
5 Si 0.7153 0.5119 0.6878
6 Si 0.8164 0.2507 0.5616
7 Si 0.2847 0.4881 0.3122
8 Si 0.7153 0.9881 0.1878
9 Si 0.6836 0.7508 0.5616
10 Si 0.7847 0.4881 0.1878
11 Si 0.2153 0.9881 0.3122
12 Si 0.8164 0.2492 0.0616
13 Si 0.3164 0.2492 0.4384
14 Si 0.2153 0.5119 0.8122
15 Si 0.2847 0.0119 0.8122
16 Si 0.1836 0.7508 0.9384
17 N 0.8330 0.6296 0.6198
18 N 0.3436 0.7287 0.5425
19 N 0.2425 0.1249 0.3717
20 N 0.1217 0.4811 0.2104
21 N 0.8783 0.9811 0.2896
22 N 0.6670 0.3704 0.1198
23 N 0.7425 0.3751 0.6283
24 N 0.1670 0.1296 0.8802
25 N 0.7575 0.8751 0.6283
26 N 0.6670 0.1296 0.6198
27 N 0.6564 0.2713 0.4575
28 N 0.1564 0.2713 0.0425
29 N 0.6217 0.0189 0.7896
30 N 0.3330 0.8704 0.3802
31 N 0.6217 0.4811 0.2896
32 N 0.3436 0.7713 0.0425
33 N 0.8783 0.5189 0.7896
34 N 0.1217 0.0189 0.7104
35 N 0.8436 0.7713 0.4575
36 N 0.7425 0.1249 0.1283
37 N 0.2575 0.8751 0.8717
38 N 0.3783 0.5189 0.7104
39 N 0.7575 0.6249 0.1283
40 N 0.8330 0.8704 0.1198
41 N 0.8436 0.7287 0.9575
42 N 0.3330 0.6296 0.8802
43 N 0.2425 0.3751 0.8717
44 N 0.1670 0.3704 0.3802
45 N 0.2575 0.6249 0.3717
46 N 0.6564 0.2287 0.9575
47 N 0.3783 0.9811 0.2104
48 N 0.1564 0.2287 0.5425
49 Sn 0.7835 0.0328 0.9314
50 Sn 0.7165 0.5328 0.9314
51 Sn 0.6153 0.7763 0.8155
52 Sn 0.7835 0.4672 0.4314
53 Sn 0.2165 0.5328 0.5686
54 Sn 0.3847 0.2763 0.6845
55 Sn 0.7165 0.9672 0.4314
56 Sn 0.2165 0.9672 0.0686
57 Sn 0.1153 0.7763 0.6845
58 Sn 0.8847 0.2237 0.3155
59 Sn 0.2835 0.0328 0.5686
60 Sn 0.6153 0.7237 0.3155
61 Sn 0.1153 0.7237 0.1845
62 Sn 0.8847 0.2763 0.8155
63 Sn 0.2835 0.4672 0.0686
64 Sn 0.3847 0.2237 0.1845

---

(2)
Sr7SiN6: relaxed, PBE.

Values from the calculation:
E (MP2020), eV per atom: -5.697
M_tot, μB per formula unit: 0.0
Crystal system: orthorhombic

abc: 11.6116 6.6005 13.7455
angles: 90.00 90.00 90.00
Atoms (fractional coordinates):
1 N 0.8340 0.4064 0.5001
2 N 0.4586 0.4134 0.1486
3 N 0.0414 0.9134 0.1486
4 N 0.4586 0.5866 0.6486
5 N 0.0414 0.0866 0.6486
6 N 0.6660 0.9064 0.5001
7 N 0.1660 0.4064 0.9999
8 N 0.1193 0.2310 0.2890
9 N 0.8807 0.2310 0.2110
10 N 0.3807 0.7310 0.2890
11 N 0.6193 0.7310 0.2110
12 N 0.5414 0.5866 0.8514
13 N 0.1193 0.7690 0.7890
14 N 0.1660 0.5936 0.4999
15 N 0.3807 0.2690 0.7890
16 N 0.5414 0.4134 0.3514
17 N 0.6660 0.0936 0.0001
18 N 0.9586 0.0866 0.8514
19 N 0.6193 0.2690 0.7110
20 N 0.3340 0.9064 0.9999
21 N 0.8340 0.5936 0.0001
22 N 0.3340 0.0936 0.4999
23 N 0.9586 0.9134 0.3514
24 N 0.8807 0.7690 0.7110
25 Sr 0.2210 0.1424 0.1247
26 Sr 0.0000 0.4417 0.7500
27 Sr 0.7067 0.3867 0.1274
28 Sr 0.7790 0.1424 0.3753
29 Sr 0.7210 0.3576 0.8753
30 Sr 0.7933 0.1133 0.6274
31 Sr 0.9612 0.2605 0.0194
32 Sr 0.0388 0.7395 0.9806
33 Sr 0.2790 0.3576 0.6247
34 Sr 0.5388 0.2395 0.5194
35 Sr 0.7210 0.6424 0.3753
36 Sr 0.9612 0.7395 0.5194
37 Sr 0.7067 0.6133 0.6274
38 Sr 0.2933 0.6133 0.8726
39 Sr 0.7790 0.8576 0.8753
40 Sr 0.2067 0.8867 0.3726
41 Sr 0.7933 0.8867 0.1274
42 Sr 0.2933 0.3867 0.3726
43 Sr 0.4612 0.2395 0.9806
44 Sr 0.5000 0.0583 0.2500
45 Sr 0.0000 0.5583 0.2500
46 Sr 0.2790 0.6424 0.1247
47 Sr 0.5388 0.7605 0.0194
48 Sr 0.4612 0.7605 0.4806
49 Sr 0.0388 0.2605 0.4806
50 Sr 0.5000 0.9417 0.7500
51 Sr 0.2210 0.8576 0.6247
52 Sr 0.2067 0.1133 0.8726
53 Si 0.0000 0.9289 0.7500
54 Si 0.5000 0.4289 0.7500
55 Si 0.5000 0.5711 0.2500
56 Si 0.0000 0.0711 0.2500

---

(3)
SrSi7N10: relaxed, PBE.

Values from the calculation:
E (MP2020), eV per atom: -8.157
Crystal system: monoclinic
Largest piezoelectric modulus, C/m2: 2.15

abc: 6.7813 6.8871 9.6856
angles: 73.93 90.00 90.00
Atoms (fractional coordinates):
1 N 0.1552 0.7481 0.1700
2 N 0.5378 0.4981 0.4762
3 N 0.5842 0.7035 0.1755
4 N 0.1315 0.5679 0.5230
5 N 0.4622 0.4981 0.9762
6 N 0.5771 0.0786 0.5619
7 N 0.4229 0.0786 0.0619
8 N 0.1298 0.3194 0.1352
9 N 0.1644 0.1546 0.4785
10 N 0.1177 0.4454 0.8275
11 N 0.6173 0.8874 0.8672
12 N 0.8823 0.4454 0.3275
13 N 0.8356 0.1546 0.9785
14 N 0.4981 0.2862 0.2759
15 N 0.4158 0.7035 0.6755
16 N 0.8448 0.7481 0.6700
17 N 0.8702 0.3194 0.6352
18 N 0.3827 0.8874 0.3672
19 N 0.5019 0.2862 0.7759
20 N 0.8685 0.5679 0.0230
21 Si 0.9735 0.3541 0.9833
22 Si 0.9741 0.5399 0.6719
23 Si 0.6291 0.4836 0.3123
24 Si 0.3709 0.4836 0.8123
25 Si 0.6191 0.2961 0.6161
26 Si 0.6350 0.6656 0.0070
27 Si 0.0259 0.5399 0.1719
28 Si 0.6057 0.1090 0.9266
29 Si 0.6238 0.8490 0.6909
30 Si 0.0265 0.3541 0.4833
31 Si 0.3809 0.2961 0.1161
32 Si 0.3943 0.1090 0.4266
33 Si 0.3762 0.8490 0.1909
34 Si 0.3650 0.6656 0.5070
35 Sr 0.0502 0.9556 0.8319
36 Sr 0.9498 0.9556 0.3319

---

(4)
SrYSi4N7: relaxed, PBE.

Values from the calculation:
E (MP2020), eV per atom: -8.233
M_tot, μB per formula unit: 0.0
Crystal system: hexagonal

abc: 6.0615 6.0615 9.8881
angles: 90.00 90.00 120.00
Atoms (fractional coordinates):
1 Si 0.0000 0.0000 0.5275
2 Si 0.0000 0.0000 0.0275
3 Si 0.3480 0.1740 0.2598
4 Si 0.8260 0.1740 0.2598
5 Si 0.1740 0.8260 0.7598
6 Si 0.6520 0.8260 0.7598
7 Si 0.1740 0.3480 0.7598
8 Si 0.8260 0.6520 0.2598
9 N 0.1529 0.3058 0.5873
10 N 0.5116 0.0231 0.3118
11 N 0.4884 0.5116 0.8118
12 N 0.6942 0.8471 0.5873
13 N 0.0000 0.0000 0.8367
14 N 0.8471 0.1529 0.0873
15 N 0.4884 0.9769 0.8118
16 N 0.8471 0.6942 0.0873
17 N 0.5116 0.4884 0.3118
18 N 0.3058 0.1529 0.0873
19 N 0.1529 0.8471 0.5873
20 N 0.0231 0.5116 0.8118
21 N 0.0000 0.0000 0.3367
22 N 0.9769 0.4884 0.3118
23 Sr 0.3333 0.6667 0.0814
24 Sr 0.6667 0.3333 0.5814
25 Y 0.3333 0.6667 0.4505
26 Y 0.6667 0.3333 0.9505